Compound: ErIn2Sn
Source: the Materials Project
Functional: meta-GGA r2SCAN
Structure: relaxed

Lattice parameters (Å, degrees): 4.5212 4.5212 4.8089 90.00 90.00 90.00
Atoms (fractional coordinates):
Er (0.0000, 0.0000, 0.0000)
In (0.0000, 0.5000, 0.5000)
In (0.5000, 0.0000, 0.5000)
Sn (0.5000, 0.5000, 0.0000)

Summary:
energy of formation: -43 kJ/mol of atoms

=====

Compound: TbErIn2
Source: the Materials Project
Functional: meta-GGA r2SCAN
Structure: relaxed

Lattice parameters (Å, degrees): 5.2774 5.2774 5.2774 60.00 60.00 60.00
Atoms (fractional coordinates):
Tb (0.0000, 0.0000, 0.0000)
Er (0.5000, 0.5000, 0.5000)
In (0.2500, 0.2500, 0.2500)
In (0.7500, 0.7500, 0.7500)

Summary:
energy of formation: -56 kJ/mol of atoms

=====

Compound: Er2TlIn
Source: the Materials Project
Functional: meta-GGA r2SCAN
Structure: relaxed

Lattice parameters (Å, degrees): 5.2699 5.2699 5.2699 60.00 60.00 60.00
Atoms (fractional coordinates):
Er (0.2500, 0.2500, 0.2500)
Er (0.7500, 0.7500, 0.7500)
Tl (0.0000, 0.0000, 0.0000)
In (0.5000, 0.5000, 0.5000)

Summary:
energy of formation: -46 kJ/mol of atoms

=====

Compound: ErTmIn2
Source: the Materials Project
Functional: meta-GGA r2SCAN
Structure: relaxed

Lattice parameters (Å, degrees): 5.2319 5.2319 5.2319 60.00 60.00 60.00
Atoms (fractional coordinates):
Er (0.0000, 0.0000, 0.0000)
Tm (0.5000, 0.5000, 0.5000)
In (0.2500, 0.2500, 0.2500)
In (0.7500, 0.7500, 0.7500)

Summary:
energy of formation: -53 kJ/mol of atoms

=====

Compound: YErIn2
Source: the Materials Project
Functional: meta-GGA r2SCAN
Structure: relaxed

Lattice parameters (Å, degrees): 5.2768 5.2768 5.2768 60.00 60.00 60.00
Atoms (fractional coordinates):
Y (0.0000, 0.0000, 0.0000)
Er (0.5000, 0.5000, 0.5000)
In (0.2500, 0.2500, 0.2500)
In (0.7500, 0.7500, 0.7500)

Summary:
energy of formation: -56 kJ/mol of atoms

=====

Compound: ErZnIn
Source: the Materials Project
Functional: meta-GGA r2SCAN
Structure: relaxed

Lattice parameters (Å, degrees): 4.5987 4.5987 7.1835 90.00 90.00 120.00
Atoms (fractional coordinates):
Er (0.0000, 0.0000, 0.0000)
Er (0.0000, 0.0000, 0.5000)
Zn (0.3333, 0.6667, 0.2500)
Zn (0.6667, 0.3333, 0.7500)
In (0.3333, 0.6667, 0.7500)
In (0.6667, 0.3333, 0.2500)

Summary:
energy of formation: -49 kJ/mol of atoms

=====

Compound: ErIr2
Source: the Materials Project
Functional: meta-GGA r2SCAN
Structure: relaxed

Lattice parameters (Å, degrees): 5.3069 5.3069 5.3069 60.00 60.00 60.00
Atoms (fractional coordinates):
Er (0.1250, 0.1250, 0.1250)
Er (0.8750, 0.8750, 0.8750)
Ir (0.0000, 0.5000, 0.5000)
Ir (0.5000, 0.0000, 0.5000)
Ir (0.5000, 0.5000, 0.0000)
Ir (0.5000, 0.5000, 0.5000)

Summary:
energy of formation: -90 kJ/mol of atoms

=====

Compound: Er5Ir3
Source: the Materials Project
Functional: meta-GGA r2SCAN
Structure: relaxed

Lattice parameters (Å, degrees): 10.7174 10.7174 6.2961 90.00 90.00 90.00
Atoms (fractional coordinates):
Er (0.0416, 0.1623, 0.1184)
Er (0.0416, 0.3377, 0.6184)
Er (0.1623, 0.0416, 0.6184)
Er (0.1623, 0.4584, 0.1184)
Er (0.2500, 0.7500, 0.0000)
Er (0.2500, 0.7500, 0.5000)
Er (0.3377, 0.0416, 0.1184)
Er (0.3377, 0.4584, 0.6184)
Er (0.4584, 0.1623, 0.6184)
Er (0.4584, 0.3377, 0.1184)
Er (0.5416, 0.6623, 0.8816)
Er (0.5416, 0.8377, 0.3816)
Er (0.6623, 0.5416, 0.3816)
Er (0.6623, 0.9584, 0.8816)
Er (0.7500, 0.2500, 0.0000)
Er (0.7500, 0.2500, 0.5000)
Er (0.8377, 0.5416, 0.8816)
Er (0.8377, 0.9584, 0.3816)
Er (0.9584, 0.6623, 0.3816)
Er (0.9584, 0.8377, 0.8816)
Ir (0.0964, 0.5964, 0.7500)
Ir (0.0964, 0.9036, 0.2500)
Ir (0.2500, 0.2500, 0.3721)
Ir (0.2500, 0.2500, 0.8721)
Ir (0.4036, 0.5964, 0.2500)
Ir (0.4036, 0.9036, 0.7500)
Ir (0.5964, 0.0964, 0.2500)
Ir (0.5964, 0.4036, 0.7500)
Ir (0.7500, 0.7500, 0.1279)
Ir (0.7500, 0.7500, 0.6279)
Ir (0.9036, 0.0964, 0.7500)
Ir (0.9036, 0.4036, 0.2500)

Summary:
energy of formation: -92 kJ/mol of atoms